# 1
The following is a PBE calculation of an optimized crystal structure of ReTe, from Materials Project.

The structure in CIF format:
```
data_ReTe
_space_group_name_H-M_alt 'P 1'
_space_group_IT_number 1
_space_group_name_Hall 'P 1'
_cell_length_a 3.299
_cell_length_b 3.299
_cell_length_c 8.862
_cell_angle_alpha 90.00
_cell_angle_beta 90.00
_cell_angle_gamma 120.00
loop_
_atom_site_label
_atom_site_fract_x
_atom_site_fract_y
_atom_site_fract_z
Re1 0.667 0.333 0.538
Re2 0.333 0.667 0.038
Te1 0.667 0.333 0.837
Te2 0.333 0.667 0.337
```

E_form = 574 meV/atom
DFT total energy = -7.009 eV/atom
Spin magnetization = 0.00 μB/cell

***

# 2
The following is a PBE calculation of an optimized crystal structure of Ba7Al6Te16, from Materials Project.

The structure in CIF format:
```
data_Ba7Al6Te16
_space_group_name_H-M_alt 'P 1'
_space_group_IT_number 1
_space_group_name_Hall 'P 1'
_cell_length_a 8.354
_cell_length_b 7.271
_cell_length_c 59.077
_cell_angle_alpha 69.14
_cell_angle_beta 51.32
_cell_angle_gamma 53.19
loop_
_atom_site_label
_atom_site_fract_x
_atom_site_fract_y
_atom_site_fract_z
Ba1 0.756 0.932 0.992
Ba2 0.318 0.958 0.244
Ba3 0.779 0.029 0.133
Ba4 0.248 0.069 0.360
Ba5 0.776 0.983 0.250
Ba6 0.250 0.088 0.486
Ba7 0.802 0.923 0.365
Ba8 0.237 0.093 0.612
Ba9 0.817 0.916 0.490
Ba10 0.204 0.105 0.738
Ba11 0.801 0.933 0.616
Ba12 0.232 0.963 0.887
Ba13 0.778 0.931 0.740
Ba14 0.672 0.092 0.885
Al1 0.671 0.603 0.083
Al2 0.786 0.411 0.185
Al3 0.339 0.500 0.421
Al4 0.758 0.472 0.309
Al5 0.334 0.505 0.549
Al6 0.755 0.474 0.437
Al7 0.311 0.516 0.674
Al8 0.744 0.486 0.562
Al9 0.244 0.515 0.843
Al10 0.737 0.500 0.687
Al11 0.774 0.510 0.814
Al12 0.633 0.535 0.946
Te1 0.146 0.429 0.054
Te2 0.184 0.441 0.151
Te3 0.354 0.907 0.067
Te4 0.517 0.367 0.086
Te5 0.161 0.461 0.265
Te6 0.426 0.780 0.183
Te7 0.819 0.037 0.186
Te8 0.750 0.599 0.120
Te9 0.149 0.474 0.392
Te10 0.382 0.820 0.307
Te11 0.757 0.116 0.306
Te12 0.881 0.442 0.219
Te13 0.145 0.483 0.519
Te14 0.393 0.837 0.433
Te15 0.778 0.109 0.431
Te16 0.718 0.491 0.359
Te17 0.137 0.496 0.643
Te18 0.384 0.851 0.558
Te19 0.768 0.121 0.557
Te20 0.714 0.495 0.486
Te21 0.136 0.507 0.765
Te22 0.366 0.860 0.683
Te23 0.742 0.140 0.682
Te24 0.700 0.506 0.612
Te25 0.071 0.525 0.899
Te26 0.337 0.855 0.821
Te27 0.699 0.169 0.820
Te28 0.686 0.516 0.736
Te29 0.295 0.913 0.942
Te30 0.635 0.191 0.941
Te31 0.859 0.517 0.854
Te32 0.654 0.502 0.989
```

E_form = -1156 meV/atom
DFT total energy = -3.895 eV/atom
Spin magnetization = 0.05 μB/cell

***

# 3
The following is a PBE calculation of an optimized crystal structure of Be12Ag, from Materials Project.

The structure in CIF format:
```
data_Be12Ag
_space_group_name_H-M_alt 'P 1'
_space_group_IT_number 1
_space_group_name_Hall 'P 1'
_cell_length_a 5.626
_cell_length_b 5.626
_cell_length_c 5.626
_cell_angle_alpha 98.25
_cell_angle_beta 98.25
_cell_angle_gamma 135.47
loop_
_atom_site_label
_atom_site_fract_x
_atom_site_fract_y
_atom_site_fract_z
Be1 0.000 0.500 0.000
Be2 0.000 0.000 0.500
Be3 0.500 0.500 0.500
Be4 0.500 0.000 0.000
Be5 0.000 0.353 0.353
Be6 0.647 0.000 0.647
Be7 0.353 0.000 0.353
Be8 0.000 0.647 0.647
Be9 0.500 0.266 0.766
Be10 0.734 0.500 0.234
Be11 0.266 0.500 0.766
Be12 0.500 0.734 0.234
Ag1 0.000 0.000 0.000
```

E_form = 110 meV/atom
DFT total energy = -3.560 eV/atom
Spin magnetization = 0.07 μB/cell

***

# 4
The following is a PBE calculation of an optimized crystal structure of La3Ge2Rh2, from Materials Project.

The structure in CIF format:
```
data_La3Ge2Rh2
_space_group_name_H-M_alt 'P 1'
_space_group_IT_number 1
_space_group_name_Hall 'P 1'
_cell_length_a 5.776
_cell_length_b 8.292
_cell_length_c 13.543
_cell_angle_alpha 90.00
_cell_angle_beta 90.00
_cell_angle_gamma 90.00
loop_
_atom_site_label
_atom_site_fract_x
_atom_site_fract_y
_atom_site_fract_z
La1 0.651 0.249 0.250
La2 0.349 0.751 0.750
La3 0.349 0.749 0.250
La4 0.651 0.251 0.750
La5 0.154 0.394 0.098
La6 0.846 0.606 0.902
La7 0.846 0.606 0.598
La8 0.846 0.894 0.402
La9 0.154 0.394 0.402
La10 0.154 0.106 0.598
La11 0.154 0.106 0.902
La12 0.846 0.894 0.098
Ge1 0.156 0.104 0.250
Ge2 0.844 0.896 0.750
Ge3 0.844 0.604 0.250
Ge4 0.156 0.396 0.750
Ge5 0.643 0.250 0.000
Ge6 0.357 0.750 0.000
Ge7 0.357 0.750 0.500
Ge8 0.643 0.250 0.500
Rh1 0.382 0.036 0.091
Rh2 0.618 0.964 0.909
Rh3 0.618 0.964 0.591
Rh4 0.618 0.536 0.409
Rh5 0.382 0.036 0.409
Rh6 0.382 0.464 0.591
Rh7 0.382 0.464 0.909
Rh8 0.618 0.536 0.091
```

E_form = -885 meV/atom
DFT total energy = -6.426 eV/atom

***

# 5
The following is a PBE calculation of an optimized crystal structure of NaFeS2, from Materials Project.

The structure in CIF format:
```
data_NaFeS2
_space_group_name_H-M_alt 'P 1'
_space_group_IT_number 1
_space_group_name_Hall 'P 1'
_cell_length_a 7.090
_cell_length_b 7.090
_cell_length_c 7.090
_cell_angle_alpha 134.72
_cell_angle_beta 122.31
_cell_angle_gamma 76.22
loop_
_atom_site_label
_atom_site_fract_x
_atom_site_fract_y
_atom_site_fract_z
Na1 0.299 0.299 0.000
Na2 0.701 0.701 0.000
Fe1 0.000 0.000 0.000
Fe2 0.000 0.500 0.500
S1 0.284 0.849 0.922
S2 0.926 0.362 0.078
S3 0.716 0.638 0.565
S4 0.074 0.151 0.435
```

E_form = -848 meV/atom
DFT total energy = -5.113 eV/atom
Spin magnetization = 5.03 μB/cell

***

# 6
The following is a PBE calculation of an optimized crystal structure of NbCoAs, from Materials Project.

The structure in CIF format:
```
data_NbCoAs
_space_group_name_H-M_alt 'P 1'
_space_group_IT_number 1
_space_group_name_Hall 'P 1'
_cell_length_a 3.762
_cell_length_b 6.302
_cell_length_c 7.155
_cell_angle_alpha 90.00
_cell_angle_beta 90.00
_cell_angle_gamma 90.00
loop_
_atom_site_label
_atom_site_fract_x
_atom_site_fract_y
_atom_site_fract_z
Nb1 0.250 0.025 0.328
Nb2 0.250 0.525 0.172
Nb3 0.750 0.975 0.672
Nb4 0.750 0.475 0.828
Co1 0.250 0.150 0.937
Co2 0.250 0.650 0.563
Co3 0.750 0.850 0.063
Co4 0.750 0.350 0.437
As1 0.250 0.278 0.621
As2 0.250 0.778 0.879
As3 0.750 0.722 0.379
As4 0.750 0.222 0.121
```

E_form = -520 meV/atom
DFT total energy = -7.810 eV/atom

***

# 7
The following is a PBE calculation of an optimized crystal structure of Li2AgF3, from Materials Project.

The structure in CIF format:
```
data_Li2AgF3
_space_group_name_H-M_alt 'P 1'
_space_group_IT_number 1
_space_group_name_Hall 'P 1'
_cell_length_a 5.449
_cell_length_b 5.499
_cell_length_c 9.218
_cell_angle_alpha 90.00
_cell_angle_beta 90.00
_cell_angle_gamma 90.00
loop_
_atom_site_label
_atom_site_fract_x
_atom_site_fract_y
_atom_site_fract_z
Li1 0.463 0.997 0.663
Li2 0.463 0.503 0.663
Li3 0.963 0.497 0.837
Li4 0.963 0.003 0.837
Li5 0.037 0.997 0.163
Li6 0.037 0.503 0.163
Li7 0.537 0.497 0.337
Li8 0.537 0.003 0.337
Ag1 0.959 0.750 0.511
Ag2 0.459 0.250 0.989
Ag3 0.541 0.750 0.011
Ag4 0.041 0.250 0.489
F1 0.493 0.250 0.503
F2 0.164 0.750 0.714
F3 0.164 0.250 0.722
F4 0.664 0.750 0.778
F5 0.664 0.250 0.786
F6 0.993 0.750 0.997
F7 0.007 0.250 0.003
F8 0.336 0.750 0.214
F9 0.336 0.250 0.222
F10 0.836 0.750 0.278
F11 0.836 0.250 0.286
F12 0.507 0.750 0.497
```

E_form = -2417 meV/atom
DFT total energy = -4.252 eV/atom
Spin magnetization = 0.00 μB/cell

***

# 8
The following is a PBE calculation of an optimized crystal structure of PrC2, from Materials Project.

The structure in CIF format:
```
data_PrC2
_space_group_name_H-M_alt 'P 1'
_space_group_IT_number 1
_space_group_name_Hall 'P 1'
_cell_length_a 4.263
_cell_length_b 4.263
_cell_length_c 4.263
_cell_angle_alpha 125.85
_cell_angle_beta 125.85
_cell_angle_gamma 80.14
loop_
_atom_site_label
_atom_site_fract_x
_atom_site_fract_y
_atom_site_fract_z
Pr1 0.000 0.000 0.000
C1 0.401 0.401 0.000
C2 0.599 0.599 0.000
```

E_form = -102 meV/atom
DFT total energy = -7.848 eV/atom

***

# 9
The following is a PBE calculation of an optimized crystal structure of GaB6O6, from Materials Project.

The structure in CIF format:
```
data_GaB6O6
_space_group_name_H-M_alt 'P 1'
_space_group_IT_number 1
_space_group_name_Hall 'P 1'
_cell_length_a 6.113
_cell_length_b 5.968
_cell_length_c 12.944
_cell_angle_alpha 81.77
_cell_angle_beta 73.77
_cell_angle_gamma 59.20
loop_
_atom_site_label
_atom_site_fract_x
_atom_site_fract_y
_atom_site_fract_z
Ga1 0.000 0.000 0.000
B1 0.712 0.000 0.507
B2 0.288 0.000 0.493
B3 0.650 0.435 0.000
B4 0.350 0.565 0.000
B5 0.085 0.565 0.000
B6 0.915 0.435 0.000
O1 0.581 0.247 0.506
O2 0.419 0.753 0.494
O3 0.719 0.000 0.000
O4 0.172 0.247 0.494
O5 0.281 0.000 0.000
O6 0.828 0.753 0.506
```

E_form = -381 meV/atom
DFT total energy = -5.663 eV/atom
Spin magnetization = 0.77 μB/cell

***

# 10
The following is a PBE calculation of an optimized crystal structure of LaY3Ti4O12, from Materials Project.

The structure in CIF format:
```
data_LaY3Ti4O12
_space_group_name_H-M_alt 'P 1'
_space_group_IT_number 1
_space_group_name_Hall 'P 1'
_cell_length_a 7.751
_cell_length_b 5.399
_cell_length_c 5.736
_cell_angle_alpha 90.00
_cell_angle_beta 90.00
_cell_angle_gamma 90.00
loop_
_atom_site_label
_atom_site_fract_x
_atom_site_fract_y
_atom_site_fract_z
La1 0.000 0.483 0.435
Y1 0.000 0.022 0.930
Y2 0.500 0.521 0.574
Y3 0.500 0.982 0.071
Ti1 0.254 0.000 0.501
Ti2 0.747 0.499 0.000
Ti3 0.746 0.000 0.501
Ti4 0.253 0.499 0.000
O1 0.199 0.184 0.191
O2 0.797 0.301 0.707
O3 0.692 0.805 0.801
O4 0.309 0.691 0.303
O5 0.308 0.805 0.801
O6 0.691 0.691 0.303
O7 0.801 0.184 0.191
O8 0.203 0.301 0.707
O9 0.000 0.615 0.023
O10 0.000 0.912 0.541
O11 0.500 0.386 0.960
O12 0.500 0.119 0.457
```

E_form = -3608 meV/atom
DFT total energy = -8.961 eV/atom
Spin magnetization = 4.00 μB/cell

***

# 11
The following is a PBE calculation of an optimized crystal structure of EuU2S5, from Materials Project.

The structure in CIF format:
```
data_EuU2S5
_space_group_name_H-M_alt 'P 1'
_space_group_IT_number 1
_space_group_name_Hall 'P 1'
_cell_length_a 7.423
_cell_length_b 7.996
_cell_length_c 12.032
_cell_angle_alpha 90.00
_cell_angle_beta 90.00
_cell_angle_gamma 90.00
loop_
_atom_site_label
_atom_site_fract_x
_atom_site_fract_y
_atom_site_fract_z
Eu1 0.924 0.750 0.993
Eu2 0.076 0.250 0.007
Eu3 0.424 0.250 0.507
Eu4 0.576 0.750 0.493
U1 0.987 0.002 0.682
U2 0.013 0.998 0.318
U3 0.487 0.998 0.818
U4 0.013 0.502 0.318
U5 0.513 0.002 0.182
U6 0.987 0.498 0.682
U7 0.513 0.498 0.182
U8 0.487 0.502 0.818
S1 0.705 0.750 0.717
S2 0.295 0.250 0.283
S3 0.205 0.250 0.783
S4 0.795 0.750 0.217
S5 0.176 0.750 0.811
S6 0.824 0.250 0.189
S7 0.676 0.250 0.689
S8 0.324 0.750 0.311
S9 0.528 0.750 0.999
S10 0.472 0.250 0.001
S11 0.028 0.250 0.501
S12 0.972 0.750 0.499
S13 0.830 0.456 0.888
S14 0.170 0.544 0.112
S15 0.330 0.544 0.612
S16 0.170 0.956 0.112
S17 0.670 0.456 0.388
S18 0.830 0.044 0.888
S19 0.670 0.044 0.388
S20 0.330 0.956 0.612
```

E_form = -1814 meV/atom
DFT total energy = -8.190 eV/atom
Spin magnetization = 44.00 μB/cell

***

# 12
The following is a PBE calculation of an optimized crystal structure of TbAl2Au2, from Materials Project.

The structure in CIF format:
```
data_TbAl2Au2
_space_group_name_H-M_alt 'P 1'
_space_group_IT_number 1
_space_group_name_Hall 'P 1'
_cell_length_a 4.356
_cell_length_b 4.356
_cell_length_c 10.532
_cell_angle_alpha 90.00
_cell_angle_beta 90.00
_cell_angle_gamma 90.00
loop_
_atom_site_label
_atom_site_fract_x
_atom_site_fract_y
_atom_site_fract_z
Tb1 0.000 0.500 0.248
Tb2 0.500 0.000 0.752
Al1 0.000 0.000 0.500
Al2 0.500 0.500 0.500
Al3 0.000 0.500 0.869
Al4 0.500 0.000 0.131
Au1 0.000 0.000 0.000
Au2 0.500 0.500 0.000
Au3 0.000 0.500 0.633
Au4 0.500 0.000 0.367
```

E_form = -716 meV/atom
DFT total energy = -4.451 eV/atom